An optimized crystal structure of CeS2O8, computed with PBE-GGA.

Cell lengths 9.1712, 13.7078, 9.5706 Å; angles 90.00, 90.00, 90.00 degrees
Last column: nearest neighbours and their distance in Å.
Space group Pbca (No. 61)
Inequivalent atoms, fractional coordinates:
1 Ce 0.2201 0.1032 0.0376 x8  8 O 2.30-2.47
2 S 0.0007 0.0558 0.7215 x8  4 O 1.48-1.49
3 S 0.1733 0.6572 0.3965 x8  4 O 1.48-1.49
4 O 0.0129 0.6686 0.4113 x8  1 S 1.49
5 O 0.0840 0.6179 0.8764 x8  1 S 1.48
6 O 0.0849 0.5166 0.1400 x8  1 S 1.48
7 O 0.0964 0.1173 0.8090 x8  1 S 1.48
8 O 0.1039 0.5029 0.6863 x8  1 S 1.49
9 O 0.2167 0.5561 0.4320 x8  1 S 1.48
10 O 0.2185 0.6792 0.2503 x8  1 S 1.49
11 O 0.2476 0.7272 0.4911 x8  1 S 1.48

Output
ρ: 3.7 g cm⁻³
DFT formation energy: -2.4293 eV/atom